No. 1
Entry from the Materials Project: a relaxed Sr2MgCu2Bi2O8 crystal (PBE-GGA).

The structure belongs to space group I4/mmm (No. 139); the cell edges are 3.7158, 3.7158 and 30.8895 Å and the angles 90.00°, 90.00° and 90.00°. The inequivalent atoms are Sr at (0.0000, 0.0000, 0.1073), Mg at (0.0000, 0.0000, 0.0000), Cu at (0.0000, 0.0000, 0.4548), Bi at (0.0000, 0.0000, 0.3002), O at (0.0000, 0.0000, 0.1989), O at (0.0000, 0.0000, 0.3676) and O at (0.0000, 0.5000, 0.0458).

The energy with MP2020 corrections is -0.438 Ry per atom. The calculation puts the calculated density at 6.79 g/cm³. The total magnetic moment is 0.00 μB per atom. The energy relative to the lowest polymorph listed for this composition comes out at 0.000 kcal/mol of atoms.

=====

No. 2
Entry from the Materials Project: a relaxed Mn3Cu4Bi4 crystal (PBE-GGA).

The structure belongs to space group Fm-3m (No. 225); the cell edges are 12.0587, 12.0587 and 12.0587 Å and the angles 90.00°, 90.00° and 90.00°. The inequivalent atoms are Mn at (0.0000, 0.2500, 0.2500), Cu at (0.1099, 0.1099, 0.1099), Bi at (0.0000, 0.0000, 0.2848) and Bi at (0.2500, 0.2500, 0.2500).

The calculation puts the calculated density at 9.51 g/cm³. The total magnetic moment is 1.11 μB per atom.

=====

No. 3
Entry from the Materials Project: a relaxed NaTi8Cu6BiO24 crystal (PBE-GGA).

The structure belongs to space group Pm-3 (No. 200); the cell edges are 7.4680, 7.4680 and 7.4680 Å and the angles 90.00°, 90.00° and 90.00°. The inequivalent atoms are Na at (0.0000, 0.0000, 0.0000), Ti at (0.2455, 0.2455, 0.2455), Cu at (0.0000, 0.0000, 0.5000), Cu at (0.0000, 0.5000, 0.5000), Bi at (0.5000, 0.5000, 0.5000), O at (0.0000, 0.3058, 0.1779) and O at (0.1963, 0.3221, 0.5000).

The energy with MP2020 corrections is -0.574 Ry per atom. The calculation puts the calculated density at 5.50 g/cm³. The total magnetic moment is 0.15 μB per atom.

=====

No. 4
Entry from the Materials Project: a relaxed Nd5CuBi3 crystal (PBE-GGA).

The structure belongs to space group P6_3/mcm (No. 193); the cell edges are 9.6156, 9.6156 and 6.5958 Å and the angles 90.00°, 90.00° and 120.00°. The inequivalent atoms are Nd at (0.0000, 0.2582, 0.2500), Nd at (0.3333, 0.6667, 0.0000), Cu at (0.0000, 0.0000, 0.0000) and Bi at (0.0000, 0.3855, 0.7500).

The calculation puts the calculated density at 8.88 g/cm³.

=====

No. 5
Entry from the Materials Project: a relaxed Nd3Cu3Bi4 crystal (PBE-GGA).

The structure belongs to space group I-43d (No. 220); the cell edges are 9.9550, 9.9550 and 9.9550 Å and the angles 90.00°, 90.00° and 90.00°. The inequivalent atoms are Nd at (0.0000, 0.2500, 0.8750), Cu at (0.0000, 0.2500, 0.3750) and Bi at (0.0810, 0.4190, 0.5810).

The calculation puts the calculated density at 9.82 g/cm³.

=====

No. 6
Entry from the Materials Project: a relaxed Sr2NdCu2Bi2O8 crystal (PBE-GGA).

The structure belongs to space group I4/mmm (No. 139); the cell edges are 3.8257, 3.8257 and 30.8072 Å and the angles 90.00°, 90.00° and 90.00°. The inequivalent atoms are Sr at (0.0000, 0.0000, 0.1151), Nd at (0.0000, 0.0000, 0.0000), Cu at (0.0000, 0.0000, 0.4454), Bi at (0.0000, 0.0000, 0.2958), O at (0.0000, 0.0000, 0.2025), O at (0.0000, 0.0000, 0.3646) and O at (0.0000, 0.5000, 0.0517).

The energy with MP2020 corrections is -0.468 Ry per atom. The calculation puts the calculated density at 7.31 g/cm³. The total magnetic moment is 0.00 μB per atom.

=====

| no. | ΔH_f (0 K) (eV/atom) |
| --- | --- |
| 1 | -1.924 |
| 2 | 0.170 |
| 3 | -2.519 |
| 4 | -0.700 |
| 5 | -0.572 |
| 6 | -2.126 |